[1]
First-principles (GGA-PBE) data for PuGaRh after structural relaxation, as listed in Materials Project.

Values from the calculation:
Energy of formation = -1.9 eV/f.u.
Total magnetization = 5.02 μB/f.u.

a b c (Å): 6.956 6.956 3.938
angles (deg): 90.00 90.00 120.00
Atoms (fractional coordinates):
Pu 0.000 0.414 0.000
Pu 0.414 0.000 0.000
Pu 0.586 0.586 0.000
Ga 0.000 0.752 0.500
Ga 0.248 0.248 0.500
Ga 0.752 0.000 0.500
Rh 0.000 0.000 0.000
Rh 0.333 0.667 0.500
Rh 0.667 0.333 0.500



[2]
First-principles (GGA-PBE) data for RbGa7 after structural relaxation, as listed in Materials Project.

Values from the calculation:
Energy of formation = -0.8 eV/f.u.

a b c (Å): 10.352 10.352 10.352
angles (deg): 38.12 38.12 38.12
Atoms (fractional coordinates):
Rb 0.196 0.196 0.196
Rb 0.804 0.804 0.804
Ga 0.182 0.182 0.582
Ga 0.182 0.582 0.182
Ga 0.202 0.784 0.784
Ga 0.216 0.216 0.798
Ga 0.216 0.798 0.216
Ga 0.418 0.818 0.818
Ga 0.456 0.456 0.456
Ga 0.544 0.544 0.544
Ga 0.582 0.182 0.182
Ga 0.784 0.202 0.784
Ga 0.784 0.784 0.202
Ga 0.798 0.216 0.216
Ga 0.818 0.418 0.818
Ga 0.818 0.818 0.418



[3]
First-principles (GGA-PBE) data for Rb2GaSb2 after structural relaxation, as listed in Materials Project.

Values from the calculation:
Energy of formation = -2.5 eV/f.u.

a b c (Å): 15.688 10.982 9.475
angles (deg): 90.00 90.00 90.00
Atoms (fractional coordinates):
Rb 0.018 0.033 0.226
Rb 0.018 0.467 0.226
Rb 0.229 0.534 0.604
Rb 0.229 0.966 0.604
Rb 0.271 0.034 0.104
Rb 0.271 0.466 0.104
Rb 0.482 0.533 0.726
Rb 0.482 0.967 0.726
Rb 0.518 0.033 0.274
Rb 0.518 0.467 0.274
Rb 0.729 0.534 0.896
Rb 0.729 0.966 0.896
Rb 0.771 0.034 0.396
Rb 0.771 0.466 0.396
Rb 0.982 0.533 0.774
Rb 0.982 0.967 0.774
Ga 0.093 0.250 0.601
Ga 0.181 0.750 0.277
Ga 0.319 0.250 0.777
Ga 0.407 0.750 0.101
Ga 0.593 0.250 0.899
Ga 0.681 0.750 0.223
Ga 0.819 0.250 0.723
Ga 0.907 0.750 0.399
Sb 0.066 0.750 0.484
Sb 0.137 0.750 0.009
Sb 0.155 0.250 0.857
Sb 0.196 0.250 0.383
Sb 0.304 0.750 0.883
Sb 0.345 0.750 0.357
Sb 0.363 0.250 0.509
Sb 0.434 0.250 0.984
Sb 0.566 0.750 0.016
Sb 0.637 0.750 0.491
Sb 0.655 0.250 0.643
Sb 0.696 0.250 0.117
Sb 0.804 0.750 0.617
Sb 0.845 0.750 0.143
Sb 0.863 0.250 0.991
Sb 0.934 0.250 0.516



[4]
First-principles (GGA-PBE) data for Ga3Re after structural relaxation, as listed in Materials Project.

Values from the calculation:
Energy of formation = -0.4 eV/f.u.

a b c (Å): 6.554 6.554 7.099
angles (deg): 90.00 90.00 90.00
Atoms (fractional coordinates):
Ga 0.000 0.500 0.000
Ga 0.000 0.500 0.500
Ga 0.162 0.162 0.248
Ga 0.162 0.162 0.752
Ga 0.338 0.662 0.252
Ga 0.338 0.662 0.748
Ga 0.500 0.000 0.000
Ga 0.500 0.000 0.500
Ga 0.662 0.338 0.252
Ga 0.662 0.338 0.748
Ga 0.838 0.838 0.248
Ga 0.838 0.838 0.752
Re 0.144 0.856 0.000
Re 0.356 0.356 0.500
Re 0.644 0.644 0.500
Re 0.856 0.144 0.000